Record 1
## USiH2PbO7 (PBE-GGA)

Data for a geometry-optimized USiH2PbO7 structure.

Geometry as CIF:
```
data_USiH2PbO7
_symmetry_space_group_name_H-M 'P 1'
_symmetry_Int_Tables_number 1
_cell_length_a 6.945
_cell_length_b 6.870
_cell_length_c 13.391
_cell_angle_alpha 76.77
_cell_angle_beta 90.00
_cell_angle_gamma 90.00
loop_
_symmetry_equiv_pos_as_xyz
'x,y,z'
loop_
_atom_site_label
_atom_site_type_symbol
_atom_site_fract_x
_atom_site_fract_y
_atom_site_fract_z
O1 O 0.777 0.955 0.491
O2 O 0.067 0.424 0.913
O3 O 0.693 0.244 0.307
O4 O 0.567 0.576 0.587
O5 O 0.277 0.045 0.009
O6 O 0.723 0.955 0.991
O7 O 0.276 0.301 0.165
H1 H 0.010 0.554 0.915
Pb1 Pb 0.070 0.427 0.380
O8 O 0.224 0.301 0.665
O9 O 0.776 0.699 0.335
U1 U 0.228 0.031 0.174
Pb2 Pb 0.930 0.573 0.620
O10 O 0.433 0.424 0.413
O11 O 0.935 0.983 0.669
Si1 Si 0.289 0.904 0.926
H2 H 0.030 0.645 0.121
U2 U 0.272 0.031 0.674
O12 O 0.914 0.091 0.139
O13 O 0.586 0.091 0.639
O14 O 0.307 0.756 0.693
Pb3 Pb 0.430 0.427 0.880
O15 O 0.724 0.699 0.835
H3 H 0.490 0.554 0.415
O16 O 0.565 0.983 0.169
O17 O 0.435 0.017 0.831
O18 O 0.367 0.677 0.974
H4 H 0.510 0.446 0.585
U3 U 0.728 0.969 0.326
Si2 Si 0.789 0.096 0.574
Pb4 Pb 0.570 0.573 0.120
O19 O 0.086 0.909 0.861
U4 U 0.772 0.969 0.826
O20 O 0.223 0.045 0.509
O21 O 0.867 0.323 0.526
O22 O 0.193 0.756 0.193
O23 O 0.633 0.323 0.026
O24 O 0.414 0.909 0.361
H5 H 0.470 0.645 0.621
H6 H 0.970 0.355 0.879
H7 H 0.530 0.355 0.379
O25 O 0.133 0.677 0.474
Si3 Si 0.211 0.904 0.426
O26 O 0.807 0.244 0.807
O27 O 0.065 0.017 0.331
O28 O 0.933 0.576 0.087
H8 H 0.990 0.446 0.085
Si4 Si 0.711 0.096 0.074
```

Results
The calculation puts the formation energy at -2.598 eV per atom. The final energy is -7.352 eV/atom. As for the space group: No. 14.

***

Record 2
## NaCa2Ge2PS5O24 (PBE-GGA)

Data for a geometry-optimized NaCa2Ge2PS5O24 structure.

Geometry as CIF:
```
data_NaCa2Ge2PS5O24
_symmetry_space_group_name_H-M 'P 1'
_symmetry_Int_Tables_number 1
_cell_length_a 8.774
_cell_length_b 8.816
_cell_length_c 22.898
_cell_angle_alpha 89.21
_cell_angle_beta 89.92
_cell_angle_gamma 119.97
loop_
_symmetry_equiv_pos_as_xyz
'x,y,z'
loop_
_atom_site_label
_atom_site_type_symbol
_atom_site_fract_x
_atom_site_fract_y
_atom_site_fract_z
O1 O 0.864 0.313 0.251
O2 O 0.326 0.456 0.082
O3 O 0.338 0.872 0.970
S1 S 0.691 0.977 0.753
O4 O 0.563 0.854 0.460
O5 O 0.620 0.471 0.922
O6 O 0.815 0.971 0.399
Na1 Na 0.668 0.333 0.831
S2 S 0.610 0.641 0.916
Ca1 Ca 0.334 0.665 0.023
O7 O 0.868 0.526 0.409
O8 O 0.034 0.844 0.400
O9 O 0.182 0.140 0.094
S3 S 0.359 0.309 0.086
O10 O 0.662 0.136 0.410
P1 P 0.037 0.390 0.917
O11 O 0.001 0.209 0.906
Ca2 Ca 0.664 0.334 0.194
O12 O 0.889 0.345 0.639
O13 O 0.968 0.143 0.597
S4 S 0.639 0.960 0.408
O14 O 0.798 0.003 0.803
O15 O 0.498 0.609 0.863
Ca3 Ca 0.666 0.331 0.685
O16 O 0.990 0.181 0.306
O17 O 0.991 0.792 0.803
O18 O 0.519 0.875 0.355
O19 O 0.436 0.286 0.030
O20 O 0.772 0.952 0.697
Ca4 Ca 0.667 0.336 0.485
O21 O 0.139 0.470 0.970
O22 O 0.525 0.152 0.922
O23 O 0.121 0.512 0.859
P2 P 0.712 0.728 0.253
O24 O 0.653 0.542 0.639
O25 O 0.355 0.490 0.353
Na2 Na 0.337 0.669 0.167
Ge1 Ge 0.317 0.652 0.812
Ge2 Ge 0.996 0.996 0.649
Ca5 Ca 0.000 0.001 0.859
O26 O 0.043 0.822 0.697
O27 O 0.292 0.481 0.757
O28 O 0.392 0.893 0.863
S5 S 0.356 0.968 0.917
O29 O 0.458 0.109 0.639
O30 O 0.290 0.439 0.458
O31 O 0.846 0.375 0.923
O32 O 0.468 0.335 0.137
O33 O 0.858 0.044 0.093
O34 O 0.182 0.469 0.257
O35 O 0.468 0.341 0.746
O36 O 0.720 0.579 0.535
O37 O 0.663 0.134 0.136
O38 O 0.536 0.665 0.969
O39 O 0.954 0.811 0.092
O40 O 0.540 0.872 0.082
Ge3 Ge 0.672 0.328 0.977
O41 O 0.850 0.560 0.031
S6 S 0.685 0.652 0.588
O42 O 0.454 0.137 0.251
O43 O 0.045 0.212 0.199
Ge4 Ge 0.001 0.996 0.348
Ge5 Ge 0.344 0.680 0.312
O44 O 0.525 0.714 0.258
O45 O 0.794 0.841 0.196
O46 O 0.175 0.031 0.598
O47 O 0.422 0.141 0.535
O48 O 0.659 0.124 0.746
O49 O 0.210 0.997 0.909
S7 S 0.348 0.032 0.588
S8 S 0.046 0.679 0.408
Ge6 Ge 0.997 0.982 0.149
S9 S 0.690 0.051 0.087
O50 O 0.133 0.674 0.082
S10 S 0.318 0.366 0.406
O51 O 0.870 0.529 0.137
O52 O 0.146 0.704 0.460
O53 O 0.284 0.808 0.259
O54 O 0.542 0.689 0.579
O55 O 0.787 0.783 0.907
O56 O 0.860 0.283 0.535
O57 O 0.311 0.854 0.580
O58 O 0.715 0.154 0.029
O59 O 0.136 0.649 0.355
O60 O 0.691 0.548 0.252
O61 O 0.158 0.950 0.196
P3 P 0.272 0.982 0.253
Ca6 Ca 0.334 0.667 0.521
O62 O 0.826 0.821 0.307
S11 S 0.018 0.292 0.253
O63 O 0.153 0.192 0.398
S12 S 0.951 0.637 0.086
O64 O 0.183 0.012 0.306
O65 O 0.181 0.226 0.697
O66 O 0.514 0.807 0.760
S13 S 0.287 0.305 0.752
S14 S 0.017 0.714 0.752
O67 O 0.872 0.534 0.746
O68 O 0.856 0.825 0.597
S15 S 0.967 0.315 0.588
O69 O 0.190 0.712 0.757
O70 O 0.147 0.456 0.579
Na3 Na 0.659 0.335 0.332
O71 O 0.209 0.200 0.803
O72 O 0.472 0.342 0.408
```

Results
The calculation puts the formation energy at -2.161 eV per atom. The final energy is -6.245 eV/atom. As for the space group: No. 1.

***

Record 3
## YI3O11 (PBE-GGA)

Data for a geometry-optimized YI3O11 structure.

Geometry as CIF:
```
data_YI3O11
_symmetry_space_group_name_H-M 'P 1'
_symmetry_Int_Tables_number 1
_cell_length_a 7.241
_cell_length_b 7.546
_cell_length_c 9.587
_cell_angle_alpha 81.04
_cell_angle_beta 86.41
_cell_angle_gamma 70.55
loop_
_symmetry_equiv_pos_as_xyz
'x,y,z'
loop_
_atom_site_label
_atom_site_type_symbol
_atom_site_fract_x
_atom_site_fract_y
_atom_site_fract_z
O1 O 0.713 0.427 0.043
O2 O 0.735 0.707 0.405
O3 O 0.012 0.769 0.127
I1 I 0.737 0.400 0.854
O4 O 0.705 0.811 0.936
I2 I 0.263 0.600 0.146
I3 I 0.118 0.144 0.201
O5 O 0.841 0.308 0.592
O6 O 0.988 0.231 0.873
O7 O 0.290 0.050 0.347
I4 I 0.676 0.255 0.483
O8 O 0.022 0.397 0.229
I5 I 0.882 0.856 0.799
O9 O 0.598 0.488 0.357
Y1 Y 0.739 0.660 0.167
I6 I 0.324 0.745 0.517
O10 O 0.161 0.892 0.639
O11 O 0.295 0.189 0.064
O12 O 0.978 0.603 0.771
O13 O 0.365 0.002 0.799
O14 O 0.710 0.950 0.653
Y2 Y 0.261 0.340 0.833
O15 O 0.159 0.692 0.408
O16 O 0.402 0.512 0.643
O17 O 0.607 0.228 0.859
O18 O 0.265 0.293 0.595
O19 O 0.287 0.573 0.957
O20 O 0.635 0.998 0.201
O21 O 0.839 0.108 0.361
O22 O 0.393 0.772 0.141
```

Results
The calculation puts the formation energy at -1.009 eV per atom. The final energy is -4.870 eV/atom. As for the space group: No. 2.

***

Record 4
## Hg2Se2O7 (PBE-GGA)

Data for a geometry-optimized Hg2Se2O7 structure.

Geometry as CIF:
```
data_Hg2Se2O7
_symmetry_space_group_name_H-M 'P 1'
_symmetry_Int_Tables_number 1
_cell_length_a 13.222
_cell_length_b 5.191
_cell_length_c 11.779
_cell_angle_alpha 86.19
_cell_angle_beta 90.00
_cell_angle_gamma 90.00
loop_
_symmetry_equiv_pos_as_xyz
'x,y,z'
loop_
_atom_site_label
_atom_site_type_symbol
_atom_site_fract_x
_atom_site_fract_y
_atom_site_fract_z
O1 O 0.651 0.172 0.308
Se1 Se 0.065 0.731 0.093
O2 O 0.990 0.269 0.391
Se2 Se 0.565 0.269 0.407
O3 O 0.644 0.892 0.877
O4 O 0.144 0.108 0.623
O5 O 0.164 0.751 0.464
O6 O 0.461 0.287 0.320
Se3 Se 0.639 0.221 0.891
Hg1 Hg 0.806 0.720 0.767
O7 O 0.490 0.731 0.109
Hg2 Hg 0.478 0.750 0.865
Se4 Se 0.935 0.269 0.907
O8 O 0.349 0.828 0.692
O9 O 0.233 0.218 0.886
Se5 Se 0.139 0.779 0.609
O10 O 0.961 0.713 0.180
O11 O 0.356 0.108 0.123
O12 O 0.664 0.249 0.036
O13 O 0.393 0.408 0.590
O14 O 0.767 0.782 0.114
Hg3 Hg 0.306 0.280 0.733
O15 O 0.893 0.592 0.910
Se6 Se 0.361 0.779 0.109
O16 O 0.733 0.782 0.614
Se7 Se 0.435 0.731 0.593
O17 O 0.510 0.269 0.891
O18 O 0.039 0.287 0.820
O19 O 0.267 0.218 0.386
O20 O 0.107 0.408 0.090
O21 O 0.856 0.892 0.377
O22 O 0.849 0.172 0.808
Hg4 Hg 0.522 0.250 0.135
O23 O 0.151 0.828 0.192
Hg5 Hg 0.694 0.720 0.267
Se8 Se 0.861 0.221 0.391
Hg6 Hg 0.022 0.750 0.365
Hg7 Hg 0.194 0.280 0.233
O24 O 0.539 0.713 0.680
O25 O 0.010 0.731 0.609
O26 O 0.607 0.592 0.410
Hg8 Hg 0.978 0.250 0.635
O27 O 0.836 0.249 0.536
O28 O 0.336 0.751 0.964
```

Results
The calculation puts the formation energy at -0.752 eV per atom. The final energy is -4.154 eV/atom. As for the space group: No. 14.

***

Record 5
## NaLi3H8N4 (PBE-GGA)

Data for a geometry-optimized NaLi3H8N4 structure.

Geometry as CIF:
```
data_NaLi3H8N4
_symmetry_space_group_name_H-M 'P 1'
_symmetry_Int_Tables_number 1
_cell_length_a 6.876
_cell_length_b 6.876
_cell_length_c 6.876
_cell_angle_alpha 136.31
_cell_angle_beta 136.31
_cell_angle_gamma 63.50
loop_
_symmetry_equiv_pos_as_xyz
'x,y,z'
loop_
_atom_site_label
_atom_site_type_symbol
_atom_site_fract_x
_atom_site_fract_y
_atom_site_fract_z
H1 H 0.410 0.060 0.135
N1 N 0.338 0.864 0.002
N2 N 0.136 0.138 0.473
H2 H 0.560 0.479 0.255
H3 H 0.224 0.305 0.745
H4 H 0.724 0.590 0.650
H5 H 0.695 0.440 0.919
H6 H 0.940 0.075 0.350
Li1 Li 0.490 0.990 0.500
Na1 Na 0.250 0.750 0.500
H7 H 0.925 0.276 0.865
Li2 Li 0.000 0.000 0.000
N3 N 0.664 0.662 0.527
H8 H 0.521 0.776 0.081
N4 N 0.862 0.336 0.998
Li3 Li 0.010 0.510 0.500
```

Results
The calculation puts the formation energy at -0.560 eV per atom. The final energy is -4.691 eV/atom. The calculation puts the largest piezoelectric modulus at 0.20 C/m2. As for the space group: No. 82.

***

Repeat the first record exactly.
## USiH2PbO7 (PBE-GGA)

Data for a geometry-optimized USiH2PbO7 structure.

Geometry as CIF:
```
data_USiH2PbO7
_symmetry_space_group_name_H-M 'P 1'
_symmetry_Int_Tables_number 1
_cell_length_a 6.945
_cell_length_b 6.870
_cell_length_c 13.391
_cell_angle_alpha 76.77
_cell_angle_beta 90.00
_cell_angle_gamma 90.00
loop_
_symmetry_equiv_pos_as_xyz
'x,y,z'
loop_
_atom_site_label
_atom_site_type_symbol
_atom_site_fract_x
_atom_site_fract_y
_atom_site_fract_z
O1 O 0.777 0.955 0.491
O2 O 0.067 0.424 0.913
O3 O 0.693 0.244 0.307
O4 O 0.567 0.576 0.587
O5 O 0.277 0.045 0.009
O6 O 0.723 0.955 0.991
O7 O 0.276 0.301 0.165
H1 H 0.010 0.554 0.915
Pb1 Pb 0.070 0.427 0.380
O8 O 0.224 0.301 0.665
O9 O 0.776 0.699 0.335
U1 U 0.228 0.031 0.174
Pb2 Pb 0.930 0.573 0.620
O10 O 0.433 0.424 0.413
O11 O 0.935 0.983 0.669
Si1 Si 0.289 0.904 0.926
H2 H 0.030 0.645 0.121
U2 U 0.272 0.031 0.674
O12 O 0.914 0.091 0.139
O13 O 0.586 0.091 0.639
O14 O 0.307 0.756 0.693
Pb3 Pb 0.430 0.427 0.880
O15 O 0.724 0.699 0.835
H3 H 0.490 0.554 0.415
O16 O 0.565 0.983 0.169
O17 O 0.435 0.017 0.831
O18 O 0.367 0.677 0.974
H4 H 0.510 0.446 0.585
U3 U 0.728 0.969 0.326
Si2 Si 0.789 0.096 0.574
Pb4 Pb 0.570 0.573 0.120
O19 O 0.086 0.909 0.861
U4 U 0.772 0.969 0.826
O20 O 0.223 0.045 0.509
O21 O 0.867 0.323 0.526
O22 O 0.193 0.756 0.193
O23 O 0.633 0.323 0.026
O24 O 0.414 0.909 0.361
H5 H 0.470 0.645 0.621
H6 H 0.970 0.355 0.879
H7 H 0.530 0.355 0.379
O25 O 0.133 0.677 0.474
Si3 Si 0.211 0.904 0.426
O26 O 0.807 0.244 0.807
O27 O 0.065 0.017 0.331
O28 O 0.933 0.576 0.087
H8 H 0.990 0.446 0.085
Si4 Si 0.711 0.096 0.074
```

Results
The calculation puts the formation energy at -2.598 eV per atom. The final energy is -7.352 eV/atom. As for the space group: No. 14.

***

Among the records above, which one has the lowest final energy? USiH2PbO7

***

Which of these has the lowest final energy? USiH2PbO7